# 1
DFT (PBE) results for crystalline Na2Al2Si3O14 at its relaxed geometry.

```
Na2Al2Si3O14
1.0
0.000 9.146 9.394
3.376 0.000 9.394
3.376 9.146 0.000
Si O Al Na
6 28 4 4
Direct
0.244 0.256 0.256
0.555 0.019 0.751
0.994 0.006 0.006
0.499 0.575 0.695
0.231 0.695 0.575
0.675 0.751 0.019
0.488 0.145 0.648
0.121 0.114 0.145
0.440 0.629 0.360
0.620 0.246 0.028
0.106 0.028 0.246
0.763 0.931 0.652
0.105 0.762 0.531
0.021 0.342 0.446
0.602 0.531 0.762
0.336 0.196 0.023
0.804 0.058 0.229
0.598 0.596 0.487
0.227 0.805 0.914
0.719 0.648 0.145
0.222 0.144 0.630
0.571 0.360 0.629
0.620 0.145 0.114
0.105 0.630 0.129
0.004 0.630 0.144
0.890 0.679 0.810
0.319 0.487 0.596
0.054 0.914 0.805
0.136 0.129 0.630
0.654 0.652 0.931
0.192 0.446 0.342
0.621 0.810 0.679
0.445 0.023 0.196
0.908 0.229 0.058
0.671 0.516 0.257
0.734 0.579 0.694
0.993 0.694 0.579
0.556 0.257 0.516
0.606 0.826 0.453
0.115 0.453 0.826
0.424 0.644 0.135
0.797 0.135 0.644
```

Output
The space group is Fdd2, No. 43. The calculation puts the formation energy at -2.31 eV/atom. The excess energy over the best structure of this formula in the dataset is 0.00 eV/f.u.

# 2
DFT (PBE) results for crystalline Ho6Se11 at its relaxed geometry.

```
Ho6Se11
1.0
11.543 0.000 0.000
0.356 11.580 0.000
0.046 0.015 12.029
Se Ho
44 24
Direct
0.568 0.068 0.669
0.409 0.601 0.651
0.330 0.330 0.001
0.824 0.824 0.332
0.067 0.568 0.334
0.270 0.739 0.502
0.620 0.391 0.373
0.067 0.315 0.167
0.727 0.280 0.523
0.122 0.887 0.304
0.767 0.243 0.163
0.316 0.069 0.166
0.762 0.252 0.830
0.525 0.488 0.794
0.239 0.773 0.160
0.070 0.569 0.999
0.074 0.570 0.667
0.072 0.315 0.833
0.571 0.819 0.500
0.881 0.131 0.686
0.914 0.072 0.999
0.392 0.617 0.349
0.805 0.804 0.000
0.570 0.069 0.001
0.829 0.830 0.670
0.561 0.814 0.835
0.319 0.318 0.335
0.812 0.558 0.168
0.313 0.067 0.834
0.882 0.127 0.311
0.246 0.767 0.838
0.005 0.007 0.496
0.061 0.312 0.500
0.325 0.316 0.662
0.506 0.503 0.189
0.067 0.919 0.999
0.126 0.885 0.691
0.370 0.640 0.996
0.816 0.569 0.505
0.310 0.053 0.499
0.636 0.373 0.996
0.561 0.811 0.167
0.815 0.561 0.832
0.569 0.066 0.332
0.895 0.391 0.668
0.256 0.501 0.829
0.247 0.503 0.170
0.893 0.388 0.000
0.987 0.738 0.162
0.241 0.488 0.500
0.140 0.140 0.333
0.741 0.988 0.163
0.484 0.225 0.496
0.653 0.659 0.671
0.388 0.894 0.001
0.386 0.881 0.331
0.880 0.385 0.337
0.141 0.139 0.663
0.155 0.156 0.001
0.991 0.740 0.837
0.496 0.242 0.835
0.750 0.009 0.499
0.627 0.628 0.999
0.503 0.248 0.172
0.007 0.751 0.499
0.741 0.992 0.837
0.388 0.881 0.667
0.648 0.646 0.335
```

Output
The space group is P1, No. 1. The calculation puts the formation energy at -1.96 eV/atom.

# 3
DFT (PBE) results for crystalline BiH14C4S8N5O at its relaxed geometry.

```
BiH14C4S8N5O
1.0
-9.300 -1.570 -10.154
2.473 -8.109 -1.012
-11.086 -6.592 11.173
H S N O C Bi
56 32 20 4 16 4
Direct
0.848 0.329 0.642
0.148 0.892 0.050
0.436 0.037 0.323
0.344 0.053 0.946
0.406 0.761 0.144
0.860 0.131 0.653
0.961 0.441 0.147
0.038 0.853 0.558
0.462 0.853 0.058
0.338 0.769 0.767
0.046 0.045 0.924
0.946 0.251 0.690
0.152 0.671 0.358
0.274 0.864 0.473
0.594 0.239 0.856
0.777 0.903 0.626
0.723 0.903 0.126
0.156 0.053 0.446
0.648 0.108 0.450
0.277 0.097 0.874
0.564 0.963 0.677
0.852 0.108 0.950
0.662 0.231 0.233
0.140 0.869 0.347
0.906 0.239 0.356
0.162 0.769 0.267
0.039 0.559 0.853
0.858 0.494 0.089
0.064 0.037 0.823
0.554 0.251 0.190
0.352 0.892 0.550
0.726 0.136 0.527
0.962 0.147 0.442
0.844 0.947 0.554
0.774 0.136 0.027
0.546 0.955 0.576
0.054 0.749 0.310
0.223 0.097 0.374
0.539 0.441 0.647
0.838 0.231 0.733
0.640 0.131 0.153
0.446 0.749 0.810
0.652 0.329 0.142
0.226 0.864 0.973
0.094 0.761 0.644
0.348 0.671 0.858
0.454 0.045 0.424
0.142 0.506 0.911
0.358 0.506 0.411
0.538 0.147 0.942
0.360 0.869 0.847
0.461 0.559 0.353
0.954 0.955 0.076
0.656 0.947 0.054
0.642 0.494 0.589
0.936 0.963 0.177
0.411 0.456 0.209
0.933 0.818 0.784
0.277 0.546 0.007
0.761 0.634 0.690
0.353 0.608 0.641
0.739 0.634 0.190
0.688 0.993 0.795
0.723 0.454 0.993
0.099 0.181 0.043
0.147 0.608 0.141
0.067 0.182 0.216
0.433 0.182 0.716
0.239 0.366 0.310
0.599 0.819 0.457
0.089 0.456 0.709
0.599 0.837 0.944
0.099 0.163 0.556
0.647 0.392 0.359
0.777 0.454 0.493
0.401 0.163 0.056
0.901 0.819 0.957
0.567 0.818 0.284
0.401 0.181 0.543
0.853 0.392 0.859
0.312 0.007 0.205
0.911 0.544 0.291
0.901 0.837 0.444
0.812 0.993 0.295
0.188 0.007 0.705
0.223 0.546 0.507
0.589 0.544 0.791
0.261 0.366 0.810
0.874 0.235 0.680
0.812 0.185 0.979
0.028 0.999 0.873
0.188 0.815 0.021
0.374 0.765 0.820
0.919 0.139 0.394
0.081 0.861 0.606
0.126 0.765 0.320
0.581 0.139 0.894
0.688 0.185 0.479
0.106 0.508 0.859
0.394 0.508 0.359
0.312 0.815 0.521
0.972 0.001 0.127
0.894 0.492 0.141
0.528 0.001 0.627
0.626 0.235 0.180
0.419 0.861 0.106
0.606 0.492 0.641
0.472 0.999 0.373
0.693 0.994 0.096
0.307 0.006 0.904
0.193 0.006 0.404
0.807 0.994 0.596
0.204 0.669 0.054
0.460 0.112 0.628
0.704 0.331 0.446
0.853 0.552 0.202
0.960 0.888 0.872
0.296 0.669 0.554
0.353 0.448 0.298
0.040 0.112 0.128
0.796 0.331 0.946
0.147 0.448 0.798
0.381 0.998 0.121
0.540 0.888 0.372
0.647 0.552 0.702
0.119 0.998 0.621
0.881 0.002 0.379
0.619 0.002 0.879
0.742 0.685 0.353
0.758 0.685 0.853
0.258 0.315 0.647
0.242 0.315 0.147
```

Output
The space group is P2_1/c, No. 14. The calculation puts the formation energy at -0.39 eV/atom.

# 4
DFT (PBE) results for crystalline MgTiS2 at its relaxed geometry.

```
MgTiS2
1.0
3.557 -0.001 0.010
-1.780 3.080 -0.010
0.019 -0.011 6.763
Ti S Mg
1 2 1
Direct
0.000 0.000 0.012
0.333 0.667 0.215
0.669 0.331 0.775
0.337 0.663 0.571
```

Output
The space group is Cm, No. 8. The calculation puts the formation energy at -1.35 eV/atom.

> formation energy of number 3 (BiH14C4S8N5O)?

-0.39 eV/atom